A plane-wave DFT calculation with PBE-GGA was carried out for an optimized crystal structure of Sr4Al14O25.

Unit cell a=25.022 b=8.575 c=4.936 alpha=90.00 beta=90.00 gamma=90.00
Fractional positions:
Sr (0.120, 0.000, 0.113)
Sr (0.138, 0.500, 0.040)
Sr (0.362, 0.500, 0.040)
Sr (0.380, 0.000, 0.113)
Sr (0.620, 0.000, 0.887)
Sr (0.638, 0.500, 0.960)
Sr (0.862, 0.500, 0.960)
Sr (0.880, 0.000, 0.887)
Al (0.000, 0.000, 0.500)
Al (0.000, 0.168, 0.000)
Al (0.000, 0.500, 0.000)
Al (0.000, 0.832, 0.000)
Al (0.066, 0.322, 0.507)
Al (0.066, 0.678, 0.507)
Al (0.186, 0.195, 0.626)
Al (0.186, 0.805, 0.626)
Al (0.250, 0.297, 0.129)
Al (0.250, 0.703, 0.129)
Al (0.314, 0.195, 0.626)
Al (0.314, 0.805, 0.626)
Al (0.434, 0.322, 0.507)
Al (0.434, 0.678, 0.507)
Al (0.500, 0.000, 0.500)
Al (0.500, 0.168, 0.000)
Al (0.500, 0.500, 0.000)
Al (0.500, 0.832, 0.000)
Al (0.566, 0.322, 0.493)
Al (0.566, 0.678, 0.493)
Al (0.686, 0.195, 0.374)
Al (0.686, 0.805, 0.374)
Al (0.750, 0.297, 0.871)
Al (0.750, 0.703, 0.871)
Al (0.814, 0.195, 0.374)
Al (0.814, 0.805, 0.374)
Al (0.934, 0.322, 0.493)
Al (0.934, 0.678, 0.493)
O (0.039, 0.000, 0.829)
O (0.043, 0.159, 0.323)
O (0.043, 0.337, 0.847)
O (0.043, 0.663, 0.847)
O (0.043, 0.841, 0.323)
O (0.050, 0.500, 0.325)
O (0.137, 0.322, 0.501)
O (0.137, 0.678, 0.501)
O (0.166, 0.000, 0.577)
O (0.190, 0.229, 0.978)
O (0.190, 0.771, 0.978)
O (0.250, 0.232, 0.475)
O (0.250, 0.500, 0.111)
O (0.250, 0.768, 0.475)
O (0.310, 0.229, 0.978)
O (0.310, 0.771, 0.978)
O (0.334, 0.000, 0.577)
O (0.363, 0.322, 0.501)
O (0.363, 0.678, 0.501)
O (0.450, 0.500, 0.325)
O (0.457, 0.159, 0.323)
O (0.457, 0.337, 0.847)
O (0.457, 0.663, 0.847)
O (0.457, 0.841, 0.323)
O (0.461, 0.000, 0.829)
O (0.539, 0.000, 0.171)
O (0.543, 0.159, 0.677)
O (0.543, 0.337, 0.153)
O (0.543, 0.663, 0.153)
O (0.543, 0.841, 0.677)
O (0.550, 0.500, 0.675)
O (0.637, 0.322, 0.499)
O (0.637, 0.678, 0.499)
O (0.666, 0.000, 0.423)
O (0.690, 0.229, 0.022)
O (0.690, 0.771, 0.022)
O (0.750, 0.232, 0.525)
O (0.750, 0.500, 0.889)
O (0.750, 0.768, 0.525)
O (0.810, 0.229, 0.022)
O (0.810, 0.771, 0.022)
O (0.834, 0.000, 0.423)
O (0.863, 0.322, 0.499)
O (0.863, 0.678, 0.499)
O (0.950, 0.500, 0.675)
O (0.957, 0.159, 0.677)
O (0.957, 0.337, 0.153)
O (0.957, 0.663, 0.153)
O (0.957, 0.841, 0.677)
O (0.961, 0.000, 0.171)

Calculated values
calculated density = 3.54 g cm⁻³
corrected total energy (MP2020 scheme) = -7.71 eV per atom